Computed, not measured: a relaxed structure of NaCo2HSe2O7 at the PBE with a Hubbard U level of DFT. Values from VASP.

Results
Formation energy in eV per atom: -1.44
Energy with MP2020 corrections in eV/cell: -317.238
DFT total energy in Ry per atom: -0.403

```
&SYSTEM
  ibrav = 0, nat = 52, ntyp = 5
/
ATOMIC_SPECIES
O 16.00 O.upf
Co 58.93 Co.upf
Se 78.96 Se.upf
Na 22.99 Na.upf
H 1.01 H.upf
CELL_PARAMETERS angstrom
6.094 0.000 0.000
0.000 8.451 0.000
0.000 0.000 13.407
ATOMIC_POSITIONS angstrom
O 2.881 6.346 6.522
O 4.570 8.111 1.445
O 5.852 5.880 10.134
O 3.213 2.105 6.886
O 1.523 4.479 1.213
O 0.241 2.571 3.273
O 4.570 8.108 12.026
O 1.523 3.883 8.085
O 5.852 6.796 3.430
O 1.523 8.197 7.917
O 5.928 2.105 6.886
O 0.166 6.330 13.225
O 3.288 6.796 3.430
O 4.570 4.568 5.323
O 4.570 3.972 12.194
O 1.523 0.343 1.381
O 2.806 1.655 9.977
O 3.213 2.121 0.182
O 4.570 0.253 5.490
O 0.241 1.655 9.977
O 5.928 2.121 0.182
O 2.806 2.571 3.273
O 3.288 5.880 10.134
O 2.881 6.330 13.225
O 1.523 0.340 11.962
O 4.570 4.565 8.149
O 0.166 6.346 6.522
O 1.523 3.886 5.258
Co 3.047 4.225 6.704
Co 0.000 0.000 0.000
Co 1.523 1.800 8.220
Co 0.000 4.225 6.704
Co 1.523 2.426 1.517
Co 4.570 6.651 5.187
Co 3.047 0.000 0.000
Co 4.570 6.025 11.891
Se 4.570 3.206 0.336
Se 1.523 1.898 11.116
Se 1.523 2.327 4.412
Se 4.570 6.553 2.291
Se 1.523 7.432 6.368
Se 1.523 5.245 13.072
Se 4.570 6.123 8.995
Se 4.570 1.019 7.039
Na 4.570 3.149 10.038
Na 4.570 1.077 3.335
Na 1.523 5.302 3.369
Na 1.523 7.374 10.073
H 1.523 4.435 8.895
H 4.570 4.016 4.512
H 4.570 0.210 11.215
H 1.523 8.241 2.192
```


Computed, not measured: a relaxed structure of NaLi3Ti2Cr2P6O24 at the PBE with a Hubbard U level of DFT. Values from VASP.

Results
Formation energy in eV per atom: -2.82
Energy with MP2020 corrections in eV/cell: -300.400
DFT total energy in Ry per atom: -0.541

```
&SYSTEM
  ibrav = 0, nat = 38, ntyp = 6
/
ATOMIC_SPECIES
P 30.97 P.upf
Li 6.94 Li.upf
O 16.00 O.upf
Ti 47.87 Ti.upf
Cr 52.00 Cr.upf
Na 22.99 Na.upf
CELL_PARAMETERS angstrom
-8.151 -1.855 -3.007
-5.252 -6.128 3.714
-7.394 2.037 4.484
ATOMIC_POSITIONS angstrom
P -11.297 -6.435 3.084
P -9.505 0.477 2.124
P -13.172 -2.209 0.415
P -8.814 -4.150 -0.409
P -11.998 -1.782 5.605
P -7.638 -3.748 4.764
Li -13.467 -1.051 3.121
Li -11.829 -4.732 5.467
Li -12.849 -5.122 0.934
O -11.875 -5.091 3.572
O -9.481 -3.034 -1.253
O -13.913 -4.512 5.197
O -12.508 -2.293 4.243
O -11.381 -2.983 6.388
O -9.321 0.686 3.649
O -8.800 -3.659 5.727
O -4.541 -0.330 -0.297
O -8.325 -3.522 0.934
O -6.704 -1.574 -0.005
O -10.970 0.461 1.752
O -13.316 -0.820 1.113
O -3.574 -2.703 0.858
O -5.707 -3.253 2.067
O -7.883 -2.751 3.588
O -14.387 -5.324 2.370
O -7.514 -5.175 4.173
O -3.845 -0.386 2.425
O -11.565 -6.564 1.551
O -14.969 -2.533 3.235
O -12.912 -3.277 1.495
O -6.345 -0.535 2.620
O -8.874 -0.898 1.739
O -9.797 -5.255 -0.098
Ti -2.999 -0.857 0.749
Ti -7.454 -2.131 1.861
Cr -13.511 -3.863 3.373
Cr -17.769 -5.080 4.436
Na -0.120 -0.034 0.030
```


Computed, not measured: a relaxed structure of La2MgMnZnO6 at the PBE with a Hubbard U level of DFT. Values from VASP.

Results
Formation energy in eV per atom: -2.86
Energy with MP2020 corrections in eV/cell: -83.020
DFT total energy in Ry per atom: -0.516

```
&SYSTEM
  ibrav = 0, nat = 11, ntyp = 5
/
ATOMIC_SPECIES
Zn 65.41 Zn.upf
La 138.91 La.upf
O 16.00 O.upf
Mn 54.94 Mn.upf
Mg 24.30 Mg.upf
CELL_PARAMETERS angstrom
5.810 -0.163 2.773
1.690 4.902 2.870
-0.042 0.175 5.629
ATOMIC_POSITIONS angstrom
Zn 2.925 3.007 5.927
La 2.539 1.253 3.265
La 5.704 3.270 8.684
O 4.121 2.064 7.179
O 6.616 2.642 5.312
O 4.475 0.305 4.295
O 3.549 3.390 4.054
O 2.188 4.756 6.504
O 1.420 1.722 5.477
Mn 1.988 4.589 3.065
Mg 5.287 1.303 5.810
```


Computed, not measured: a relaxed structure of KCr12Si8BrO28 at the PBE with a Hubbard U level of DFT. Values from VASP.

Results
Formation energy in eV per atom: -2.61
Energy with MP2020 corrections in eV/cell: -431.113
DFT total energy in Ry per atom: -0.570

```
&SYSTEM
  ibrav = 0, nat = 50, ntyp = 5
/
ATOMIC_SPECIES
O 16.00 O.upf
Cr 52.00 Cr.upf
Si 28.09 Si.upf
Br 79.90 Br.upf
K 39.10 K.upf
CELL_PARAMETERS angstrom
-5.291 5.291 6.598
5.291 -5.291 6.598
5.291 5.291 -6.598
ATOMIC_POSITIONS angstrom
O 3.267 1.327 8.168
O 3.280 1.337 5.026
O -1.337 3.280 5.026
O -1.327 3.267 8.168
O 1.531 -1.531 10.548
O 3.766 3.766 -3.970
O 3.964 2.024 1.571
O 6.628 2.011 -1.572
O 3.954 2.011 -1.572
O -1.531 1.531 10.548
O 1.531 1.531 10.548
O 1.823 1.823 0.004
O 3.280 -1.337 5.026
O 3.760 3.760 3.950
O 1.524 1.524 2.628
O 6.618 2.024 1.571
O 3.468 -3.468 6.602
O -1.524 1.524 2.628
O 2.024 6.618 1.571
O 1.524 -1.524 2.628
O 2.011 6.628 -1.572
O -3.468 3.468 6.602
O 3.468 3.468 6.602
O 1.337 3.280 5.026
O 3.267 -1.327 8.168
O 1.327 3.267 8.168
O 2.024 3.964 1.571
O 2.011 3.954 -1.572
Cr 5.291 1.937 -0.006
Cr 3.354 0.000 6.591
Cr 2.424 0.000 3.712
Cr 5.291 2.867 -2.885
Cr 2.435 0.000 9.504
Cr 2.867 5.291 -2.885
Cr 5.291 2.856 2.906
Cr 1.937 5.291 -0.006
Cr 0.000 3.354 6.591
Cr 2.856 5.291 2.906
Cr 0.000 2.424 3.712
Cr 0.000 2.435 9.504
Si -2.947 2.947 5.117
Si 2.356 2.356 1.482
Si 2.344 2.344 -1.481
Si 2.947 2.947 5.117
Si 2.935 2.935 8.080
Si -2.935 2.935 8.080
Si 2.935 -2.935 8.080
Si 2.947 -2.947 5.117
Br 0.000 0.000 6.252
K 0.000 0.000 0.535
```


Computed, not measured: a relaxed structure of Li2CoH8C2O10 at the PBE with a Hubbard U level of DFT. Values from VASP.

Results
Formation energy in eV per atom: -1.59
Energy with MP2020 corrections in eV/cell: -285.292
DFT total energy in Ry per atom: -0.429
Energy above the most stable polymorph in this dataset in eV/atom: 0.000

```
&SYSTEM
  ibrav = 0, nat = 46, ntyp = 5
/
ATOMIC_SPECIES
O 16.00 O.upf
H 1.01 H.upf
Li 6.94 Li.upf
C 12.01 C.upf
Co 58.93 Co.upf
CELL_PARAMETERS angstrom
3.474 4.274 0.000
-3.474 4.274 0.000
0.000 2.369 13.692
ATOMIC_POSITIONS angstrom
O 1.064 1.813 2.485
O 2.267 3.656 2.024
O -1.064 2.997 9.331
O 0.331 2.842 6.883
O -0.331 1.657 0.037
O 1.064 7.920 4.361
O 2.267 6.076 4.822
O 0.767 5.492 8.072
O 1.694 3.250 4.134
O 0.767 6.609 12.466
O -0.331 8.075 6.809
O 1.694 6.483 2.712
O -1.694 7.667 9.558
O -2.267 7.260 11.668
O -1.694 4.434 10.980
O -2.267 4.841 8.870
O -1.064 9.104 11.207
O -0.767 5.425 5.620
O -0.767 4.308 1.226
O 0.331 9.259 13.656
H -1.067 3.506 1.726
H 1.067 7.411 11.966
H 0.241 8.503 7.496
H -0.259 9.110 12.877
H 1.067 4.690 8.573
H -0.241 7.319 0.650
H 0.259 1.807 0.816
H -1.303 5.031 1.645
H 0.259 7.925 6.031
H 0.241 3.598 13.042
H -0.259 2.991 7.662
H 1.303 6.215 8.491
H -0.241 2.413 6.196
H -1.303 4.702 5.201
H 1.303 5.886 12.047
H -1.067 6.227 5.120
Li 1.167 5.104 0.790
Li -1.167 5.812 12.902
Li 1.167 4.628 6.056
Li -1.167 6.289 7.636
C -1.651 8.026 10.795
C 1.651 6.842 3.949
C -1.651 4.075 9.743
C 1.651 2.891 2.897
Co 3.162 4.866 3.423
Co -3.162 6.051 10.269
```


Computed, not measured: a relaxed structure of CaCr2Cu3Sb2O12 at the PBE with a Hubbard U level of DFT. Values from VASP.

Results
Formation energy in eV per atom: -1.88
Energy with MP2020 corrections in eV/cell: -277.756
DFT total energy in Ry per atom: -0.465

```
&SYSTEM
  ibrav = 0, nat = 40, ntyp = 5
/
ATOMIC_SPECIES
O 16.00 O.upf
Sb 121.76 Sb.upf
Cu 63.55 Cu.upf
Cr 52.00 Cr.upf
Ca 40.08 Ca.upf
CELL_PARAMETERS angstrom
7.564 0.000 0.000
0.000 7.564 0.000
0.000 0.000 7.564
ATOMIC_POSITIONS angstrom
O 7.558 1.323 2.299
O 1.323 5.265 0.006
O 1.483 3.776 5.105
O 6.081 3.788 5.105
O 5.105 6.081 3.788
O 6.241 5.265 7.558
O 5.265 0.006 1.323
O 5.265 7.558 6.241
O 2.459 1.483 3.788
O 2.299 0.006 6.241
O 2.299 7.558 1.323
O 5.105 1.483 3.776
O 3.776 2.459 6.081
O 1.323 2.299 7.558
O 0.006 1.323 5.265
O 6.081 3.776 2.459
O 2.459 6.081 3.776
O 0.006 6.241 2.299
O 3.776 5.105 1.483
O 7.558 6.241 5.265
O 3.788 5.105 6.081
O 6.241 2.299 0.006
O 3.788 2.459 1.483
O 1.483 3.788 2.459
Sb 1.891 1.891 5.673
Sb 5.673 5.673 5.673
Sb 1.891 5.673 1.891
Sb 5.673 1.891 1.891
Cu 3.782 3.782 0.000
Cu 0.000 3.782 0.000
Cu 0.000 0.000 3.782
Cu 3.782 0.000 3.782
Cu 3.782 0.000 0.000
Cu 0.000 3.782 3.782
Cr 5.673 5.673 1.891
Cr 1.891 1.891 1.891
Cr 1.891 5.673 5.673
Cr 5.673 1.891 5.673
Ca 3.782 3.782 3.782
Ca 0.000 0.000 0.000
```


Computed, not measured: a relaxed structure of EuMnO3 at the PBE with a Hubbard U level of DFT. Values from VASP.

Results
Formation energy in eV per atom: -2.61
Energy with MP2020 corrections in eV/cell: -47.313
DFT total energy in Ry per atom: -0.641

```
&SYSTEM
  ibrav = 0, nat = 5, ntyp = 3
/
ATOMIC_SPECIES
O 16.00 O.upf
Eu 151.96 Eu.upf
Mn 54.94 Mn.upf
CELL_PARAMETERS angstrom
3.877 0.000 0.000
0.000 3.877 0.000
0.000 0.000 3.877
ATOMIC_POSITIONS angstrom
O 1.938 0.000 0.000
O 0.000 0.000 1.938
O 0.000 1.938 0.000
Eu 1.938 1.938 1.938
Mn 0.000 0.000 0.000
```


Computed, not measured: a relaxed structure of Cs2ZrFe2Mo6O24 at the PBE with a Hubbard U level of DFT. Values from VASP.

Results
Formation energy in eV per atom: -2.16
Energy with MP2020 corrections in eV/cell: -286.745
DFT total energy in Ry per atom: -0.518

```
&SYSTEM
  ibrav = 0, nat = 35, ntyp = 5
/
ATOMIC_SPECIES
O 16.00 O.upf
Mo 95.94 Mo.upf
Cs 132.91 Cs.upf
Fe 55.84 Fe.upf
Zr 91.22 Zr.upf
CELL_PARAMETERS angstrom
8.792 0.000 0.000
-1.458 8.673 0.000
-1.397 -1.687 8.554
ATOMIC_POSITIONS angstrom
O 1.851 6.235 5.433
O -0.377 4.418 2.860
O 5.959 0.158 0.969
O 4.086 0.751 3.121
O 6.075 0.987 8.149
O 4.402 2.642 0.963
O -0.022 6.828 7.586
O 4.880 5.566 1.190
O -0.738 4.801 5.663
O 1.057 1.421 7.364
O 5.828 4.776 3.899
O 0.109 2.210 4.655
O 6.676 2.185 2.892
O 3.821 2.530 7.133
O 3.986 7.001 3.685
O 1.951 -0.015 4.869
O -0.138 5.999 0.405
O 6.718 7.250 2.638
O 6.314 2.568 5.694
O 1.535 4.345 7.591
O 4.692 0.014 5.815
O 1.246 6.972 2.739
O -0.781 -0.264 5.916
O 2.116 4.456 1.421
Mo 5.320 1.423 1.979
Mo 0.618 5.563 6.576
Mo 0.576 0.806 5.704
Mo 5.361 6.180 2.850
Mo 0.668 5.501 1.865
Mo 5.269 1.485 6.690
Cs 4.903 5.766 7.027
Cs 1.034 1.220 1.527
Fe -1.427 3.493 4.277
Fe 3.698 -0.843 4.277
Zr 3.667 4.336 0.000
```